(one)
Density functional theory data (PBE-GGA) for Na6ZnSi2Sn3P4O24 after structural relaxation.

Structure (POSCAR):
```
Na6ZnSi2Sn3P4O24
1.0
12.874 -0.008 -8.718
0.015 9.029 0.031
-0.126 0.031 9.091
Na Zn Si Sn P O
12 2 4 6 8 48
direct
0.251 0.750 0.001
0.744 0.744 0.480
0.751 0.250 0.001
0.244 0.244 0.480
0.508 0.094 0.763
0.499 0.882 0.234
0.008 0.594 0.763
0.999 0.382 0.234
0.799 0.924 0.211
0.185 0.082 0.803
0.299 0.424 0.211
0.685 0.582 0.803
0.104 0.241 0.055
0.604 0.741 0.055
0.650 0.899 0.749
0.353 0.100 0.255
0.150 0.399 0.749
0.853 0.600 0.255
0.104 0.752 0.559
0.898 0.754 0.940
0.897 0.251 0.444
0.604 0.252 0.559
0.398 0.254 0.940
0.397 0.751 0.444
0.996 0.955 0.745
0.002 0.045 0.256
0.496 0.455 0.745
0.502 0.545 0.256
0.356 0.897 0.761
0.648 0.110 0.248
0.856 0.397 0.761
0.148 0.610 0.248
0.157 0.582 0.741
0.851 0.572 0.755
0.851 0.417 0.258
0.154 0.440 0.250
0.657 0.082 0.741
0.351 0.072 0.755
0.351 0.917 0.258
0.654 0.940 0.250
0.425 0.541 0.564
0.558 0.555 0.905
0.569 0.456 0.434
0.438 0.440 0.093
0.925 0.041 0.564
0.058 0.055 0.905
0.069 0.956 0.434
0.938 0.940 0.093
0.254 0.843 0.743
0.747 0.816 0.754
0.744 0.175 0.255
0.257 0.181 0.243
0.754 0.343 0.743
0.247 0.316 0.754
0.244 0.675 0.255
0.757 0.681 0.243
0.355 0.857 0.594
0.649 0.867 0.922
0.648 0.159 0.409
0.357 0.130 0.077
0.855 0.357 0.594
0.149 0.367 0.922
0.148 0.659 0.409
0.857 0.630 0.077
0.451 0.841 0.937
0.546 0.826 0.566
0.549 0.169 0.066
0.460 0.165 0.437
0.951 0.341 0.937
0.046 0.326 0.566
0.049 0.669 0.066
0.960 0.665 0.437
0.081 0.860 0.742
0.924 0.840 0.754
0.912 0.131 0.255
0.070 0.157 0.244
0.581 0.360 0.742
0.424 0.340 0.754
0.412 0.631 0.255
0.570 0.657 0.244
```


(two)
Density functional theory data (PBE-GGA) for Na6ZnSi2Sn3P4O24 after structural relaxation.

Results
Space group   P1
Crystal system   triclinic

Structure (POSCAR):
```
Na6ZnSi2Sn3P4O24
1.0
9.019 0.002 0.011
-4.507 7.809 -0.018
0.028 -0.038 22.324
Na Zn Si Sn P O
18 3 6 9 12 72
direct
0.002 0.995 0.499
0.001 0.997 0.998
0.652 0.306 0.831
0.652 0.332 0.323
0.329 0.667 0.163
0.327 0.666 0.665
0.640 0.015 0.244
0.987 0.624 0.240
0.633 0.616 0.744
0.988 0.367 0.747
0.666 0.970 0.587
0.667 0.689 0.079
0.025 0.337 0.084
0.969 0.668 0.920
0.335 0.304 0.918
0.964 0.283 0.412
0.326 0.032 0.411
0.715 0.685 0.416
0.996 0.999 0.348
0.656 0.331 0.680
0.664 0.337 0.178
0.668 0.630 0.586
0.965 0.631 0.086
0.625 0.667 0.917
0.039 0.373 0.916
0.336 0.963 0.916
0.629 0.965 0.418
0.997 0.000 0.854
0.004 0.996 0.647
0.008 0.002 0.150
0.667 0.332 0.981
0.667 0.335 0.486
0.332 0.673 0.017
0.336 0.663 0.521
0.337 0.668 0.315
0.336 0.674 0.816
0.296 0.999 0.255
0.703 0.704 0.252
0.005 0.298 0.253
0.291 0.293 0.751
0.006 0.708 0.751
0.705 0.998 0.748
0.965 0.334 0.586
0.371 0.038 0.583
0.666 0.038 0.088
0.371 0.334 0.084
0.337 0.375 0.417
0.041 0.661 0.417
0.214 0.015 0.313
0.806 0.784 0.309
0.987 0.195 0.309
0.206 0.192 0.809
0.981 0.792 0.808
0.823 0.027 0.803
0.786 0.966 0.691
0.170 0.206 0.697
0.033 0.821 0.695
0.787 0.823 0.196
0.028 0.215 0.194
0.175 0.963 0.200
0.883 0.355 0.642
0.493 0.120 0.634
0.644 0.525 0.646
0.888 0.515 0.145
0.641 0.111 0.146
0.483 0.362 0.138
0.443 0.303 0.025
0.841 0.547 0.027
0.698 0.154 0.033
0.443 0.137 0.522
0.694 0.550 0.523
0.851 0.297 0.528
0.545 0.699 0.978
0.161 0.453 0.975
0.283 0.835 0.973
0.540 0.842 0.476
0.297 0.454 0.472
0.159 0.689 0.471
0.114 0.622 0.359
0.504 0.885 0.358
0.375 0.493 0.362
0.118 0.493 0.856
0.377 0.887 0.856
0.506 0.626 0.857
0.022 0.820 0.414
0.818 0.986 0.413
0.182 0.195 0.412
0.028 0.188 0.912
0.164 0.982 0.910
0.820 0.830 0.912
0.983 0.170 0.588
0.193 0.025 0.588
0.836 0.829 0.586
0.974 0.819 0.090
0.835 0.025 0.090
0.183 0.179 0.089
0.689 0.158 0.744
0.470 0.317 0.747
0.846 0.529 0.748
0.684 0.527 0.245
0.844 0.317 0.249
0.477 0.149 0.247
0.641 0.494 0.922
0.854 0.363 0.923
0.498 0.155 0.924
0.643 0.156 0.423
0.505 0.367 0.422
0.861 0.496 0.423
0.355 0.499 0.079
0.153 0.643 0.080
0.515 0.851 0.080
0.346 0.855 0.577
0.501 0.661 0.582
0.142 0.496 0.578
0.303 0.825 0.254
0.525 0.699 0.254
0.167 0.483 0.254
0.301 0.474 0.752
0.169 0.688 0.752
0.531 0.825 0.753
```


Last place for stability: (one)


(one)
Density functional theory data (PBE-GGA) for Na3TaZnSiP2O12 after structural relaxation.

Results
Space group   Cc
Crystal system   monoclinic

Structure (POSCAR):
```
Na3TaZnSiP2O12
1.0
-1.990 -6.981 -5.339
3.926 -1.449 8.035
-19.885 -1.655 9.577
Na Ta Zn Si P O
18 6 6 6 12 72
direct
0.997 0.006 0.489
0.009 0.006 0.989
0.672 0.329 0.822
0.657 0.329 0.322
0.350 0.656 0.155
0.306 0.656 0.655
0.655 0.022 0.244
0.986 0.624 0.240
0.638 0.624 0.740
0.368 0.022 0.744
0.319 0.356 0.581
0.645 0.953 0.575
0.308 0.953 0.075
0.037 0.356 0.081
0.980 0.688 0.914
0.701 0.018 0.909
0.318 0.018 0.409
0.708 0.688 0.414
0.995 0.997 0.647
0.001 0.997 0.147
0.662 0.335 0.980
0.674 0.335 0.480
0.333 0.668 0.313
0.335 0.668 0.813
0.003 0.009 0.349
0.006 0.009 0.849
0.675 0.331 0.683
0.656 0.331 0.183
0.327 0.669 0.015
0.343 0.669 0.515
0.297 0.004 0.255
0.707 0.004 0.755
0.669 0.625 0.587
0.956 0.625 0.087
0.331 0.966 0.919
0.635 0.966 0.419
0.706 0.708 0.254
0.008 0.295 0.250
0.287 0.295 0.750
0.003 0.708 0.754
0.959 0.331 0.586
0.370 0.042 0.585
0.672 0.042 0.085
0.372 0.331 0.086
0.616 0.658 0.919
0.038 0.375 0.921
0.337 0.375 0.421
0.042 0.658 0.419
0.207 0.011 0.316
0.803 0.785 0.312
0.974 0.179 0.304
0.205 0.179 0.804
0.983 0.785 0.812
0.804 0.011 0.816
0.812 0.977 0.696
0.182 0.208 0.690
0.034 0.838 0.699
0.804 0.838 0.199
0.026 0.208 0.190
0.165 0.977 0.196
0.878 0.345 0.643
0.471 0.118 0.643
0.644 0.513 0.646
0.869 0.513 0.146
0.647 0.118 0.143
0.467 0.345 0.143
0.466 0.303 0.029
0.834 0.525 0.026
0.692 0.163 0.029
0.471 0.163 0.529
0.692 0.525 0.526
0.837 0.303 0.529
0.525 0.679 0.972
0.128 0.452 0.980
0.305 0.858 0.979
0.553 0.858 0.479
0.324 0.452 0.480
0.154 0.679 0.472
0.127 0.636 0.359
0.496 0.857 0.361
0.355 0.497 0.366
0.141 0.497 0.866
0.361 0.857 0.861
0.509 0.636 0.859
0.008 0.807 0.414
0.820 0.988 0.409
0.195 0.193 0.415
0.997 0.193 0.915
0.167 0.988 0.909
0.798 0.807 0.914
0.964 0.156 0.587
0.197 0.047 0.587
0.848 0.819 0.591
0.970 0.819 0.091
0.850 0.047 0.087
0.192 0.156 0.087
0.661 0.152 0.746
0.472 0.330 0.746
0.850 0.533 0.745
0.683 0.533 0.245
0.858 0.330 0.246
0.491 0.152 0.246
0.629 0.490 0.923
0.860 0.376 0.920
0.519 0.149 0.922
0.629 0.149 0.422
0.516 0.376 0.420
0.861 0.490 0.423
0.335 0.476 0.077
0.150 0.658 0.082
0.524 0.863 0.077
0.338 0.863 0.577
0.509 0.658 0.582
0.141 0.476 0.577
0.297 0.814 0.255
0.527 0.703 0.255
0.179 0.472 0.256
0.293 0.472 0.756
0.176 0.703 0.755
0.517 0.814 0.755
```


(two)
Density functional theory data (PBE-GGA) for Na3TaZnSiP2O12 after structural relaxation.

Structure (POSCAR):
```
Na3TaZnSiP2O12
1.0
-14.272 -0.832 6.687
-1.488 -7.839 -4.151
7.409 -3.284 3.547
Na Ta Zn Si P O
12 4 4 4 8 48
direct
0.252 0.724 0.978
0.752 0.776 0.478
0.752 0.224 0.978
0.252 0.276 0.478
0.509 0.114 0.750
0.509 0.886 0.250
0.009 0.614 0.750
0.009 0.386 0.250
0.180 0.936 0.291
0.180 0.064 0.791
0.680 0.436 0.291
0.680 0.564 0.791
0.895 0.756 0.936
0.895 0.244 0.436
0.395 0.256 0.936
0.395 0.744 0.436
0.099 0.739 0.553
0.099 0.261 0.053
0.599 0.239 0.553
0.599 0.761 0.053
0.647 0.889 0.745
0.647 0.111 0.245
0.147 0.389 0.745
0.147 0.611 0.245
0.999 0.959 0.765
0.999 0.041 0.265
0.499 0.459 0.765
0.499 0.541 0.265
0.354 0.902 0.762
0.354 0.098 0.262
0.854 0.402 0.762
0.854 0.598 0.262
0.150 0.567 0.739
0.856 0.580 0.752
0.856 0.420 0.252
0.150 0.433 0.239
0.650 0.067 0.739
0.356 0.080 0.752
0.356 0.920 0.252
0.650 0.933 0.239
0.439 0.569 0.593
0.560 0.547 0.941
0.560 0.453 0.441
0.439 0.431 0.093
0.939 0.069 0.593
0.060 0.047 0.941
0.060 0.953 0.441
0.939 0.931 0.093
0.258 0.858 0.748
0.746 0.805 0.754
0.746 0.195 0.254
0.258 0.142 0.248
0.758 0.358 0.748
0.246 0.305 0.754
0.246 0.695 0.254
0.758 0.642 0.248
0.357 0.856 0.588
0.651 0.821 0.914
0.651 0.179 0.414
0.357 0.144 0.088
0.857 0.356 0.588
0.151 0.321 0.914
0.151 0.679 0.414
0.857 0.644 0.088
0.451 0.847 0.937
0.535 0.821 0.555
0.535 0.179 0.055
0.451 0.153 0.437
0.951 0.347 0.937
0.035 0.321 0.555
0.035 0.679 0.055
0.951 0.653 0.437
0.070 0.855 0.748
0.911 0.865 0.752
0.911 0.135 0.252
0.070 0.145 0.248
0.570 0.355 0.748
0.411 0.365 0.752
0.411 0.635 0.252
0.570 0.645 0.248
```


Last place for stability: (two)